# 1
This record from the Materials Project database describes crystalline NaMg6Mo at its relaxed geometry. The functional is PBE.

Computed properties:
**Final energy**: -2.4025 eV/atom
**Excess energy over the best structure of this formula in the dataset**: 0.104 eV/atom
**Energy relative to the elements**: 2.6 eV per formula unit
**M_tot**: 1.3 μB/f.u.

Cell: 5.0608 6.3307 10.8066 Å, 90.00 90.00 90.00°
Last column: nearest neighbours and their distance in Å.
Sites, in units of the cell vectors:
Na 0.0000 0.5000 0.3350  10 Mg 3.01-3.26, 2 Mo 3.22
Mg 0.0000 0.7329 0.0925  7 Mg 2.95-3.17, 2 Mo 3.00, 2 Na 3.01-3.26
Mo 0.5000 0.0000 0.6512  10 Mg 2.99-3.27, 2 Na 3.22
Mg 0.0000 0.2329 0.5925  7 Mg 2.95-3.17, 2 Mo 3.00, 2 Na 3.01-3.26
Mg 0.0000 0.5000 0.8348  10 Mg 3.11-3.15, 2 Na 3.17
Mg 0.5000 0.0000 0.1626  10 Mg 3.11-3.16, 2 Mo 3.17
Mo 0.5000 0.5000 0.1512  10 Mg 2.99-3.27, 2 Na 3.22
Mg 0.0000 0.2671 0.0925  7 Mg 2.95-3.17, 2 Mo 3.00, 2 Na 3.01-3.26
Na 0.0000 0.0000 0.8350  10 Mg 3.01-3.26, 2 Mo 3.22
Mg 0.5000 0.2512 0.9157  2 Mo 2.99-3.27, 8 Mg 3.11-3.18, 2 Na 3.11
Mg 0.5000 0.7512 0.4157  2 Mo 2.99-3.27, 8 Mg 3.11-3.18, 2 Na 3.11
Mg 0.0000 0.7671 0.5925  7 Mg 2.95-3.17, 2 Mo 3.00, 2 Na 3.01-3.26
Mg 0.5000 0.5000 0.6626  10 Mg 3.11-3.16, 2 Mo 3.17
Mg 0.5000 0.7488 0.9157  2 Mo 2.99-3.27, 8 Mg 3.11-3.18, 2 Na 3.11
Mg 0.0000 0.0000 0.3348  10 Mg 3.11-3.15, 2 Na 3.17
Mg 0.5000 0.2488 0.4157  2 Mo 2.99-3.27, 8 Mg 3.11-3.18, 2 Na 3.11

***

# 2
This record from the Materials Project database describes crystalline NaMg14Mo at its relaxed geometry. The functional is PBE.

Computed properties:
**Final energy**: -2.0211 eV/atom
**Crystal system**: hexagonal
**Excess energy over the best structure of this formula in the dataset**: 0.000 eV/atom
**Energy relative to the elements**: 2.2 eV per formula unit
**M_tot**: 0.4 μB/f.u.

Cell: 6.3931 6.3931 9.9950 Å, 90.00 90.00 120.00°
Last column: nearest neighbours and their distance in Å.
Sites, in units of the cell vectors:
Mg 0.1706 0.8353 0.1250  10 Mg 3.11-3.23, 2 Na 3.20
Mg 0.6647 0.8353 0.1250  10 Mg 3.11-3.23, 2 Na 3.20
Mg 0.6647 0.3294 0.1250  10 Mg 3.11-3.23, 2 Na 3.20
Mg 0.6669 0.3337 0.6250  10 Mg 3.03-3.20, 2 Mo 3.20
Mg 0.8333 0.6667 0.3733  12 Mg 3.11-3.20
Mg 0.8420 0.1710 0.8631  1 Mo 2.98, 10 Mg 3.03-3.28, 1 Na 3.18
Mo 0.1667 0.3333 0.6250  12 Mg 2.98-3.20
Mg 0.1663 0.8331 0.6250  10 Mg 3.03-3.20, 2 Mo 3.20
Mg 0.6669 0.8331 0.6250  10 Mg 3.03-3.20, 2 Mo 3.20
Mg 0.3290 0.1710 0.8631  1 Mo 2.98, 10 Mg 3.03-3.28, 1 Na 3.18
Mg 0.3290 0.6580 0.3869  1 Mo 2.98, 10 Mg 3.03-3.28, 1 Na 3.18
Mg 0.3290 0.1710 0.3869  1 Mo 2.98, 10 Mg 3.03-3.28, 1 Na 3.18
Mg 0.8420 0.1710 0.3869  1 Mo 2.98, 10 Mg 3.03-3.28, 1 Na 3.18
Na 0.1667 0.3333 0.1250  12 Mg 3.18-3.20
Mg 0.3290 0.6580 0.8631  1 Mo 2.98, 10 Mg 3.03-3.28, 1 Na 3.18
Mg 0.8333 0.6667 0.8767  12 Mg 3.11-3.20

***

# 3
This record from the Materials Project database describes crystalline NaMg6Mo at its relaxed geometry. The functional is PBE.

Computed properties:
**Final energy**: -2.5065 eV/atom
**Crystal system**: tetragonal
**Excess energy over the best structure of this formula in the dataset**: 0.000 eV/atom
**Energy relative to the elements**: 1.7 eV per formula unit
**M_tot**: 0.0 μB/f.u.

Cell: 6.2822 6.2822 4.3494 Å, 90.00 90.00 90.00°
Last column: nearest neighbours and their distance in Å.
Sites, in units of the cell vectors:
Mg 0.2307 0.7693 0.0000  6 Mg 2.90-3.11, 2 Mo 2.99, 2 Na 3.23
Mo 0.0000 0.0000 0.5000  12 Mg 2.99-3.14
Mg 0.7693 0.2307 0.0000  6 Mg 2.90-3.11, 2 Mo 2.99, 2 Na 3.23
Na 0.5000 0.5000 0.5000  12 Mg 3.14-3.23
Mg 0.5000 0.0000 0.5000  8 Mg 3.11, 2 Mo 3.14, 2 Na 3.14
Mg 0.2307 0.2307 0.0000  6 Mg 2.90-3.11, 2 Mo 2.99, 2 Na 3.23
Mg 0.0000 0.5000 0.5000  8 Mg 3.11, 2 Na 3.14, 2 Mo 3.14
Mg 0.7693 0.7693 0.0000  6 Mg 2.90-3.11, 2 Mo 2.99, 2 Na 3.23

***

# 4
This record from the Materials Project database describes crystalline Mg6NbMo at its relaxed geometry. The functional is PBE.

Computed properties:
**Final energy**: -3.5250 eV/atom
**Excess energy over the best structure of this formula in the dataset**: 0.077 eV/atom
**Energy relative to the elements**: 2.3 eV per formula unit
**M_tot**: 0.0 μB/f.u.

Cell: 4.9801 5.7592 11.0661 Å, 90.00 90.00 90.00°
Last column: nearest neighbours and their distance in Å.
Sites, in units of the cell vectors:
Mg 0.0000 0.0000 0.3198  8 Mg 2.88-3.09, 2 Nb 2.98
Mg 0.5000 0.7503 0.4231  8 Mg 2.88-3.11, 2 Nb 3.11-3.13, 2 Mo 3.12
Mg 0.0000 0.5000 0.8198  8 Mg 2.88-3.09, 2 Nb 2.98
Mg 0.0000 0.5000 0.3157  8 Mg 2.88-3.11, 2 Mo 2.95
Mg 0.0000 0.7466 0.0863  6 Mg 2.84-3.08, 2 Mo 3.02, 2 Nb 3.04
Mg 0.0000 0.2466 0.5863  6 Mg 2.84-3.08, 2 Mo 3.02, 2 Nb 3.04
Mg 0.0000 0.2534 0.0863  6 Mg 2.84-3.08, 2 Mo 3.02, 2 Nb 3.04
Nb 0.5000 0.5000 0.6723  2 Mo 2.88, 10 Mg 2.98-3.13
Mo 0.5000 0.5000 0.1733  2 Nb 2.88, 10 Mg 2.95-3.12
Mg 0.5000 0.2503 0.9231  8 Mg 2.88-3.11, 2 Nb 3.11-3.13, 2 Mo 3.12
Mo 0.5000 0.0000 0.6733  2 Nb 2.88, 10 Mg 2.95-3.12
Mg 0.5000 0.2497 0.4231  8 Mg 2.88-3.11, 2 Nb 3.11-3.13, 2 Mo 3.12
Nb 0.5000 0.0000 0.1723  2 Mo 2.88, 10 Mg 2.98-3.13
Mg 0.0000 0.7534 0.5863  6 Mg 2.84-3.08, 2 Mo 3.02, 2 Nb 3.04
Mg 0.5000 0.7497 0.9231  8 Mg 2.88-3.11, 2 Nb 3.11-3.13, 2 Mo 3.12
Mg 0.0000 0.0000 0.8157  8 Mg 2.88-3.11, 2 Mo 2.95

***

# 5
This record from the Materials Project database describes crystalline Mg14NbMo at its relaxed geometry. The functional is PBE.

Computed properties:
**Final energy**: -2.5671 eV/atom
**Crystal system**: orthorhombic
**Excess energy over the best structure of this formula in the dataset**: 0.000 eV/atom
**Energy relative to the elements**: 2.3 eV per formula unit
**M_tot**: 0.0 μB/f.u.

Cell: 6.3268 6.0861 10.0336 Å, 90.00 90.00 118.75°
Last column: nearest neighbours and their distance in Å.
Sites, in units of the cell vectors:
Mg 0.8473 0.1737 0.8784  1 Nb 3.01, 11 Mg 3.04-3.25
Mg 0.8473 0.1737 0.3716  1 Nb 3.01, 11 Mg 3.04-3.25
Mg 0.3279 0.6659 0.8865  1 Mo 2.98, 1 Nb 3.00, 10 Mg 3.02-3.28
Mo 0.1569 0.8285 0.1250  10 Mg 2.95-3.18, 2 Nb 3.04
Nb 0.1560 0.3280 0.1250  10 Mg 3.00-3.19, 2 Mo 3.04
Mg 0.6636 0.3327 0.6250  12 Mg 3.03-3.22
Mg 0.1668 0.3334 0.6250  12 Mg 3.04-3.18
Mg 0.8504 0.6752 0.3647  1 Mo 2.95, 11 Mg 3.04-3.28
Mg 0.6605 0.8320 0.1250  8 Mg 3.02-3.08, 2 Nb 3.14-3.19, 2 Mo 3.15-3.18
Mg 0.3279 0.6659 0.3635  1 Mo 2.98, 1 Nb 3.00, 10 Mg 3.02-3.28
Mg 0.6605 0.3285 0.1250  8 Mg 3.02-3.08, 2 Nb 3.14-3.19, 2 Mo 3.15-3.18
Mg 0.3279 0.1619 0.3635  1 Mo 2.98, 1 Nb 3.00, 10 Mg 3.02-3.28
Mg 0.6636 0.8309 0.6250  12 Mg 3.03-3.22
Mg 0.8504 0.6752 0.8853  1 Mo 2.95, 11 Mg 3.04-3.28
Mg 0.3279 0.1619 0.8865  1 Mo 2.98, 1 Nb 3.00, 10 Mg 3.02-3.28
Mg 0.1652 0.8326 0.6250  12 Mg 3.04-3.17

***

# 6
This record from the Materials Project database describes crystalline Mg6NbMo at its relaxed geometry. The functional is PBE.

Computed properties:
**Final energy**: -3.6024 eV/atom
**Excess energy over the best structure of this formula in the dataset**: 0.000 eV/atom
**Energy relative to the elements**: 1.7 eV per formula unit
**M_tot**: 0.0 μB/f.u.

Cell: 4.8107 6.0383 10.9517 Å, 90.00 90.00 90.00°
Last column: nearest neighbours and their distance in Å.
Sites, in units of the cell vectors:
Mo 0.5000 0.5000 0.1898  2 Nb 2.74, 4 Mg 2.94-3.03
Mg 0.5000 0.5000 0.6697  10 Mg 2.99-3.18, 2 Mo 3.03
Mo 0.5000 0.0000 0.6898  2 Nb 2.74, 4 Mg 2.94-3.03
Mg 0.0000 0.7410 0.0763  8 Mg 2.91-3.21, 1 Nb 2.95, 2 Mo 3.07
Mg 0.0000 0.5000 0.8318  10 Mg 2.99-3.21, 2 Nb 3.03
Mg 0.5000 0.0000 0.1697  10 Mg 2.99-3.18, 2 Mo 3.03
Mg 0.5000 0.7574 0.9230  8 Mg 2.93-3.18, 1 Mo 2.94, 2 Nb 3.08
Mg 0.0000 0.7590 0.5763  8 Mg 2.91-3.21, 1 Nb 2.95, 2 Mo 3.07
Mg 0.5000 0.7426 0.4230  8 Mg 2.93-3.18, 1 Mo 2.94, 2 Nb 3.08
Mg 0.5000 0.2574 0.4230  8 Mg 2.93-3.18, 1 Mo 2.94, 2 Nb 3.08
Mg 0.0000 0.0000 0.3318  10 Mg 2.99-3.21, 2 Nb 3.03
Nb 0.0000 0.5000 0.3102  2 Mo 2.74, 4 Mg 2.95-3.03
Mg 0.0000 0.2410 0.5763  8 Mg 2.91-3.21, 1 Nb 2.95, 2 Mo 3.07
Mg 0.5000 0.2426 0.9230  8 Mg 2.93-3.18, 1 Mo 2.94, 2 Nb 3.08
Mg 0.0000 0.2590 0.0763  8 Mg 2.91-3.21, 1 Nb 2.95, 2 Mo 3.07
Nb 0.0000 0.0000 0.8102  2 Mo 2.74, 4 Mg 2.95-3.03

***

# 7
This record from the Materials Project database describes crystalline Mg14NbMo at its relaxed geometry. The functional is PBE.

Computed properties:
**Final energy**: -2.5175 eV/atom
**Crystal system**: hexagonal
**Excess energy over the best structure of this formula in the dataset**: 0.050 eV/atom
**Energy relative to the elements**: 3.1 eV per formula unit
**M_tot**: 2.0 μB/f.u.

Cell: 6.2962 6.2962 9.8897 Å, 90.00 90.00 120.00°
Last column: nearest neighbours and their distance in Å.
Sites, in units of the cell vectors:
Mg 0.3249 0.1751 0.3775  10 Mg 2.99-3.31, 1 Mo 2.99, 1 Nb 3.04
Mg 0.3249 0.1751 0.8725  10 Mg 2.99-3.31, 1 Mo 2.99, 1 Nb 3.04
Mg 0.6648 0.8352 0.1250  10 Mg 3.07-3.18, 2 Nb 3.15
Mg 0.1681 0.8340 0.6250  10 Mg 3.08-3.16, 2 Mo 3.15
Mg 0.8502 0.1751 0.8725  10 Mg 2.99-3.31, 1 Mo 2.99, 1 Nb 3.04
Mg 0.6660 0.3319 0.6250  10 Mg 3.08-3.16, 2 Mo 3.15
Mg 0.3249 0.6498 0.3775  10 Mg 2.99-3.31, 1 Mo 2.99, 1 Nb 3.04
Mg 0.8333 0.6667 0.8767  12 Mg 3.07-3.15
Mg 0.6660 0.8340 0.6250  10 Mg 3.08-3.16, 2 Mo 3.15
Mg 0.6648 0.3296 0.1250  10 Mg 3.07-3.18, 2 Nb 3.15
Mo 0.1667 0.3333 0.6250  12 Mg 2.99-3.15
Mg 0.3249 0.6498 0.8725  10 Mg 2.99-3.31, 1 Mo 2.99, 1 Nb 3.04
Mg 0.8502 0.1751 0.3775  10 Mg 2.99-3.31, 1 Mo 2.99, 1 Nb 3.04
Nb 0.1667 0.3333 0.1250  12 Mg 3.04-3.15
Mg 0.8333 0.6667 0.3733  12 Mg 3.07-3.15
Mg 0.1704 0.8352 0.1250  10 Mg 3.07-3.18, 2 Nb 3.15

***

# 8
This record from the Materials Project database describes crystalline Mg14NiMo at its relaxed geometry. The functional is PBE.

Computed properties:
**Final energy**: -2.3192 eV/atom
**Crystal system**: orthorhombic
**Energy relative to the elements**: 1.9 eV per formula unit
**M_tot**: 0.7 μB/f.u.

Cell: 6.2463 6.2058 9.7726 Å, 90.00 90.00 119.79°
Last column: nearest neighbours and their distance in Å.
Sites, in units of the cell vectors:
Mg 0.3228 0.1620 0.3540  1 Ni 2.86, 1 Mo 2.88, 7 Mg 2.92-3.18
Mg 0.6647 0.8339 0.6250  12 Mg 3.08-3.23
Mo 0.1502 0.8251 0.1250  8 Mg 2.88-3.02, 2 Ni 3.10
Mg 0.6696 0.8303 0.1250  8 Mg 2.92-3.16, 2 Mo 3.02-3.23, 2 Ni 3.09-3.15
Mg 0.3228 0.6608 0.8960  1 Ni 2.86, 1 Mo 2.88, 7 Mg 2.92-3.18
Mg 0.8446 0.6723 0.8785  1 Mo 2.92, 11 Mg 3.00-3.23
Mg 0.1704 0.3352 0.6250  12 Mg 3.10-3.18
Mg 0.1722 0.8361 0.6250  12 Mg 3.05-3.18
Mg 0.6696 0.3393 0.1250  8 Mg 2.92-3.16, 2 Mo 3.02-3.23, 2 Ni 3.09-3.15
Mg 0.3228 0.6608 0.3540  1 Ni 2.86, 1 Mo 2.88, 7 Mg 2.92-3.18
Mg 0.3228 0.1620 0.8960  1 Ni 2.86, 1 Mo 2.88, 7 Mg 2.92-3.18
Mg 0.8446 0.6723 0.3715  1 Mo 2.92, 11 Mg 3.00-3.23
Ni 0.1601 0.3300 0.1250  10 Mg 2.86-3.15, 2 Mo 3.10
Mg 0.6647 0.3308 0.6250  12 Mg 3.08-3.23
Mg 0.8490 0.1745 0.8878  1 Ni 2.87, 9 Mg 2.97-3.16
Mg 0.8490 0.1745 0.3622  1 Ni 2.87, 9 Mg 2.97-3.16

***

# 9
This record from the Materials Project database describes crystalline Mg14NiMo at its relaxed geometry. The functional is PBE.

Computed properties:
**Final energy**: -2.3204 eV/atom
**Crystal system**: hexagonal
**Energy relative to the elements**: 1.9 eV per formula unit
**M_tot**: 0.0 μB/f.u.

Cell: 6.2590 6.2590 9.7308 Å, 90.00 90.00 120.00°
Last column: nearest neighbours and their distance in Å.
Sites, in units of the cell vectors:
Mg 0.6676 0.8324 0.1250  10 Mg 3.04-3.15, 2 Ni 3.13
Mg 0.6676 0.3352 0.1250  10 Mg 3.04-3.15, 2 Ni 3.13
Mg 0.3231 0.1769 0.8782  8 Mg 2.94-3.13, 1 Ni 2.94, 1 Mo 2.99
Mg 0.3231 0.6463 0.3718  8 Mg 2.94-3.13, 1 Ni 2.94, 1 Mo 2.99
Mg 0.8333 0.6667 0.3784  12 Mg 3.02-3.13
Mg 0.3231 0.6463 0.8782  8 Mg 2.94-3.13, 1 Ni 2.94, 1 Mo 2.99
Mo 0.1667 0.3333 0.6250  12 Mg 2.99-3.13
Mg 0.8537 0.1769 0.8782  8 Mg 2.94-3.13, 1 Ni 2.94, 1 Mo 2.99
Mg 0.1648 0.8324 0.1250  10 Mg 3.04-3.15, 2 Ni 3.13
Mg 0.1717 0.8358 0.6250  10 Mg 3.02-3.18, 2 Mo 3.13
Ni 0.1667 0.3333 0.1250  12 Mg 2.94-3.13
Mg 0.8333 0.6667 0.8716  12 Mg 3.02-3.13
Mg 0.6642 0.8358 0.6250  10 Mg 3.02-3.18, 2 Mo 3.13
Mg 0.8537 0.1769 0.3718  8 Mg 2.94-3.13, 1 Ni 2.94, 1 Mo 2.99
Mg 0.3231 0.1769 0.3718  8 Mg 2.94-3.13, 1 Ni 2.94, 1 Mo 2.99
Mg 0.6642 0.3283 0.6250  10 Mg 3.02-3.18, 2 Mo 3.13